1.
DFT (PBE+U) results for MgMn2O4 after structural relaxation.

Values from the calculation:
Total DFT energy (no corrections): -7.1082 eV per atom
Formation energy from the elements: -16.13 eV/f.u.
ΔE to the lowest computed polymorph: 38 meV per atom

a b c (Å): 6.012 6.056 10.468
angles (deg): 89.98 73.52 60.59
Positions (direct):
Mg 0.000 0.000 0.000
Mg 0.007 0.508 0.499
Mg 0.619 0.425 0.807
Mg 0.636 0.924 0.306
Mn 0.008 0.009 0.499
Mn 0.010 0.251 0.251
Mn 0.378 0.091 0.694
Mn 0.384 0.577 0.192
Mn 0.503 0.997 0.999
Mn 0.505 0.514 0.501
Mn 0.995 0.504 0.000
Mn 0.995 0.757 0.752
O 0.211 0.640 0.876
O 0.221 0.139 0.377
O 0.229 0.910 0.612
O 0.230 0.371 0.143
O 0.236 0.152 0.902
O 0.239 0.924 0.126
O 0.245 0.658 0.399
O 0.248 0.432 0.620
O 0.746 0.624 0.874
O 0.752 0.089 0.879
O 0.761 0.854 0.104
O 0.764 0.362 0.601
O 0.768 0.584 0.375
O 0.796 0.116 0.370
O 0.796 0.355 0.130
O 0.797 0.878 0.614


2.
DFT (PBE+U) results for Li2Mn2FeO6 after structural relaxation.

Values from the calculation:
Total DFT energy (no corrections): -6.5571 eV per atom
Formation energy from the elements: -21.54 eV/f.u.
ΔE to the lowest computed polymorph: 17 meV per atom

a b c (Å): 10.296 5.127 5.127
angles (deg): 61.46 90.00 90.00
Positions (direct):
Li 0.248 0.127 0.873
Li 0.252 0.627 0.373
Li 0.748 0.373 0.627
Li 0.752 0.873 0.127
Mn 0.000 0.587 0.587
Mn 0.000 0.914 0.914
Mn 0.500 0.087 0.087
Mn 0.500 0.414 0.414
Fe 0.000 0.245 0.245
Fe 0.500 0.745 0.745
O 0.096 0.591 0.911
O 0.099 0.251 0.595
O 0.113 0.935 0.203
O 0.387 0.435 0.703
O 0.401 0.751 0.095
O 0.404 0.091 0.411
O 0.596 0.411 0.091
O 0.599 0.095 0.751
O 0.613 0.703 0.435
O 0.887 0.203 0.935
O 0.901 0.595 0.251
O 0.904 0.911 0.591


3.
DFT (PBE+U) results for Ba11W4O23 after structural relaxation.

Values from the calculation:
Total DFT energy (no corrections): -6.8517 eV per atom
Formation energy from the elements: -102.07 eV/f.u.
ΔE to the lowest computed polymorph: 134 meV per atom

a b c (Å): 12.157 12.518 12.541
angles (deg): 90.87 118.89 118.93
Positions (direct):
Ba 0.000 0.000 0.000
Ba 0.000 0.750 0.286
Ba 0.187 0.797 0.076
Ba 0.195 0.388 0.054
Ba 0.227 0.802 0.641
Ba 0.252 0.405 0.621
Ba 0.415 0.192 0.712
Ba 0.422 0.434 0.410
Ba 0.434 0.194 0.217
Ba 0.462 0.997 0.457
Ba 0.471 0.007 0.001
Ba 0.505 0.749 0.275
Ba 0.516 0.430 0.018
Ba 0.621 0.772 0.621
Ba 0.661 0.798 0.055
Ba 0.724 0.372 0.633
Ba 0.893 0.440 0.023
Ba 0.904 0.434 0.410
Ba 0.930 0.172 0.681
Ba 0.945 0.750 0.711
Ba 0.946 0.183 0.228
Ba 0.958 0.967 0.466
W 0.170 0.582 0.834
W 0.193 0.088 0.844
W 0.203 0.089 0.345
W 0.213 0.596 0.352
W 0.702 0.095 0.852
W 0.706 0.093 0.347
W 0.710 0.604 0.884
W 0.716 0.603 0.359
O 0.021 0.426 0.272
O 0.044 0.406 0.819
O 0.115 0.654 0.210
O 0.127 0.545 0.666
O 0.151 0.655 0.442
O 0.176 0.973 0.723
O 0.184 0.193 0.227
O 0.188 0.199 0.735
O 0.194 0.193 0.454
O 0.198 0.976 0.225
O 0.200 0.979 0.960
O 0.207 0.204 0.966
O 0.224 0.757 0.847
O 0.233 0.991 0.466
O 0.266 0.531 0.253
O 0.299 0.631 0.019
O 0.330 0.554 0.496
O 0.404 0.768 0.423
O 0.415 0.186 0.943
O 0.424 0.201 0.428
O 0.480 0.976 0.252
O 0.497 0.023 0.798
O 0.497 0.476 0.231
O 0.507 0.399 0.631
O 0.511 0.559 0.837
O 0.629 0.540 0.686
O 0.648 0.431 0.900
O 0.673 0.196 0.234
O 0.675 0.680 0.466
O 0.689 0.227 0.782
O 0.696 0.986 0.223
O 0.706 0.013 0.733
O 0.708 0.195 0.474
O 0.711 0.000 0.972
O 0.714 0.729 0.268
O 0.723 0.488 0.462
O 0.728 0.985 0.458
O 0.757 0.528 0.258
O 0.762 0.767 0.854
O 0.784 0.674 0.056
O 0.895 0.629 0.913
O 0.904 0.229 0.991
O 0.926 0.211 0.442
O 0.937 0.732 0.485
O 0.970 0.979 0.754
O 0.980 0.971 0.245


4.
DFT (PBE+U) results for Ba3MgMn3O9 after structural relaxation.

Values from the calculation:
Total DFT energy (no corrections): -6.6830 eV per atom
Formation energy from the elements: -38.74 eV/f.u.
ΔE to the lowest computed polymorph: 32 meV per atom

a b c (Å): 5.860 5.860 8.394
angles (deg): 110.42 110.42 59.99
Positions (direct):
Ba 0.000 0.000 0.000
Ba 0.540 0.540 0.619
Ba 0.809 0.809 0.425
Mg 0.671 0.671 0.012
Mn 0.157 0.157 0.471
Mn 0.273 0.273 0.818
Mn 0.397 0.397 0.189
O 0.023 0.478 0.979
O 0.074 0.074 0.660
O 0.074 0.514 0.661
O 0.275 0.275 0.338
O 0.275 0.790 0.337
O 0.478 0.023 0.979
O 0.478 0.478 0.980
O 0.514 0.074 0.661
O 0.790 0.275 0.337